TiVW: optimized geometry, GGA-PBE.

abc: 4.2525 4.2525 4.2525
angles: 60.00 60.00 60.00
With the nearest neighbours (Å) after each atom.
Element x y z (fractional)
W1 0.5000 0.5000 0.5000  4 Ti 2.60
V1 0.0000 0.0000 0.0000  4 Ti 2.60
Ti1 0.7500 0.7500 0.7500  4 W 2.60, 4 V 2.60

Calculated values
Energy relative to the elements, eV/atom: 1.12
Symmetry: F-43m

CaTiGeO5: optimized geometry, GGA-PBE.

abc: 5.6093 5.6093 7.2135
angles: 75.97 75.97 106.26
With the nearest neighbours (Å) after each atom.
Element x y z (fractional)
O1 0.4004 0.8147 0.8920  1 Ge 1.77
Ti1 0.5000 0.5000 0.5000  6 O 1.90-2.03
O2 0.1308 0.2493 0.0789  1 Ge 1.77
O3 0.4325 0.5675 0.2500  2 Ti 1.90
O4 0.8147 0.4004 0.3920  1 Ge 1.77
O5 0.8692 0.7507 0.9211  1 Ge 1.77
O6 0.5675 0.4325 0.7500  2 Ti 1.90
Ca1 0.8274 0.1726 0.7500  5 O 2.33-2.49
O7 0.5996 0.1853 0.1080  1 Ge 1.77
Ca2 0.1726 0.8274 0.2500  5 O 2.33-2.49
Ge1 0.1833 0.8167 0.7500  4 O 1.77
O8 0.1853 0.5996 0.6080  1 Ge 1.77
Ti2 0.5000 0.5000 0.0000  6 O 1.90-2.03
O9 0.7507 0.8692 0.4211  1 Ge 1.77
O10 0.2493 0.1308 0.5789  1 Ge 1.77
Ge2 0.8167 0.1833 0.2500  4 O 1.77

Calculated values
Energy above the lowest structure with this stoichiometry, meV/atom: 2
Energy relative to the elements, eV/atom: -3.05
Symmetry: C2/c

MgSi2: optimized geometry, GGA-PBE.

abc: 2.7457 7.7565 9.3250
angles: 83.04 90.00 90.00
With the nearest neighbours (Å) after each atom.
Element x y z (fractional)
Si1 0.0000 0.0663 0.8703  5 Si 2.51-2.75
Mg1 0.5000 0.6054 0.1441  2 Mg 2.75, 8 Si 2.78-3.01
Si2 0.0000 0.5635 0.6208  5 Si 2.55-2.75, 2 Mg 2.78
Si3 0.0000 0.9337 0.1297  5 Si 2.51-2.75
Mg2 0.5000 0.3946 0.8559  2 Mg 2.75, 8 Si 2.78-3.01
Si4 0.0000 0.4365 0.3792  5 Si 2.55-2.75, 2 Mg 2.78
Si5 0.0000 0.7758 0.3896  5 Si 2.55-2.75
Mg3 0.5000 0.1089 0.3565  3 Mg 2.75-2.99, 10 Si 2.82-2.98
Si6 0.0000 0.2675 0.1111  3 Si 2.57-2.75, 4 Mg 2.82
Si7 0.0000 0.7325 0.8889  3 Si 2.57-2.75, 4 Mg 2.82
Mg4 0.5000 0.8911 0.6435  3 Mg 2.75-2.99, 10 Si 2.82-2.98
Si8 0.0000 0.2242 0.6104  5 Si 2.55-2.75

Calculated values
Energy above the lowest structure with this stoichiometry, meV/atom: 166
Energy relative to the elements, eV/atom: 0.24
Symmetry: P2/m

NaMg6Ni: optimized geometry, GGA-PBE.

abc: 4.9679 6.3367 10.7504
angles: 90.00 90.00 90.00
With the nearest neighbours (Å) after each atom.
Element x y z (fractional)
Na1 0.5000 0.5000 0.8346  10 Mg 3.09-3.12, 2 Ni 3.17
Ni1 0.5000 0.0000 0.8342  10 Mg 3.01-3.12, 2 Na 3.17
Na2 0.5000 0.0000 0.3346  10 Mg 3.09-3.12, 2 Ni 3.17
Mg1 0.0000 0.5000 0.1745  10 Mg 2.95-3.29, 2 Ni 3.02
Mg2 0.5000 0.2508 0.5840  8 Mg 3.07-3.18, 2 Ni 3.12, 2 Na 3.12
Mg3 0.0000 0.2323 0.9123  7 Mg 2.94-3.29, 2 Ni 3.01, 2 Na 3.12
Mg4 0.0000 0.7323 0.4123  7 Mg 2.94-3.29, 2 Ni 3.01, 2 Na 3.12
Mg5 0.0000 0.0000 0.6745  10 Mg 2.95-3.29, 2 Ni 3.02
Mg6 0.0000 0.2677 0.4123  7 Mg 2.94-3.29, 2 Ni 3.01, 2 Na 3.12
Mg7 0.0000 0.5000 0.6641  10 Mg 3.07-3.17, 2 Na 3.09
Mg8 0.0000 0.0000 0.1641  10 Mg 3.07-3.17, 2 Na 3.09
Mg9 0.5000 0.7508 0.0840  8 Mg 3.07-3.18, 2 Ni 3.12, 2 Na 3.12
Mg10 0.5000 0.2492 0.0840  8 Mg 3.07-3.18, 2 Ni 3.12, 2 Na 3.12
Mg11 0.0000 0.7677 0.9123  7 Mg 2.94-3.29, 2 Ni 3.01, 2 Na 3.12
Ni2 0.5000 0.5000 0.3342  10 Mg 3.01-3.12, 2 Na 3.17
Mg12 0.5000 0.7492 0.5840  8 Mg 3.07-3.18, 2 Ni 3.12, 2 Na 3.12

Calculated values
Energy relative to the elements, eV/atom: 0.11

Q: Look up the energy relative to the elements of the first one.
A: 1.12 eV/atom

Q: The lowest energy relative to the elements belongs to which entry?
A: CaTiGeO5